Compound: HfSb2
Source: the Materials Project database
Functional: r²SCAN
Structure: relaxed

a = 4.123 Å, b = 4.123 Å, c = 8.534 Å
α = 90.00°, β = 90.00°, γ = 90.00°
Fractional coordinates of all 6 atoms:
1 Hf 0.250 0.250 0.235
2 Hf 0.750 0.750 0.765
3 Sb 0.250 0.250 0.882
4 Sb 0.250 0.750 0.500
5 Sb 0.750 0.250 0.500
6 Sb 0.750 0.750 0.118

Compound: HfSb2
Source: the Materials Project database
Functional: r²SCAN
Structure: relaxed

a = 9.926 Å, b = 15.031 Å, c = 3.899 Å
α = 90.00°, β = 90.00°, γ = 90.00°
Fractional coordinates of all 24 atoms:
1 Hf 0.022 0.249 0.000
2 Hf 0.167 0.507 0.000
3 Hf 0.333 0.007 0.500
4 Hf 0.478 0.749 0.500
5 Hf 0.522 0.251 0.500
6 Hf 0.667 0.993 0.500
7 Hf 0.833 0.493 0.000
8 Hf 0.978 0.751 0.000
9 Sb 0.013 0.396 0.500
10 Sb 0.118 0.058 0.000
11 Sb 0.161 0.843 0.500
12 Sb 0.232 0.198 0.500
13 Sb 0.268 0.698 0.000
14 Sb 0.339 0.343 0.000
15 Sb 0.382 0.558 0.500
16 Sb 0.487 0.896 0.000
17 Sb 0.513 0.104 0.000
18 Sb 0.618 0.442 0.500
19 Sb 0.661 0.657 0.000
20 Sb 0.732 0.302 0.000
21 Sb 0.768 0.802 0.500
22 Sb 0.839 0.157 0.500
23 Sb 0.882 0.942 0.000
24 Sb 0.987 0.604 0.500

Compound: Hf5Sb3
Source: the Materials Project database
Functional: r²SCAN
Structure: relaxed

a = 7.402 Å, b = 8.770 Å, c = 10.766 Å
α = 90.00°, β = 90.00°, γ = 90.00°
Fractional coordinates of all 32 atoms:
1 Hf 0.027 0.250 0.010
2 Hf 0.135 0.750 0.284
3 Hf 0.193 0.250 0.276
4 Hf 0.197 0.057 0.563
5 Hf 0.197 0.443 0.563
6 Hf 0.303 0.557 0.063
7 Hf 0.303 0.943 0.063
8 Hf 0.307 0.750 0.776
9 Hf 0.365 0.250 0.784
10 Hf 0.473 0.750 0.510
11 Hf 0.527 0.250 0.490
12 Hf 0.635 0.750 0.216
13 Hf 0.693 0.250 0.224
14 Hf 0.697 0.057 0.937
15 Hf 0.697 0.443 0.937
16 Hf 0.803 0.557 0.437
17 Hf 0.803 0.943 0.437
18 Hf 0.807 0.750 0.724
19 Hf 0.865 0.250 0.716
20 Hf 0.973 0.750 0.990
21 Sb 0.076 0.008 0.826
22 Sb 0.076 0.492 0.826
23 Sb 0.082 0.750 0.544
24 Sb 0.418 0.250 0.044
25 Sb 0.424 0.508 0.326
26 Sb 0.424 0.992 0.326
27 Sb 0.576 0.008 0.674
28 Sb 0.576 0.492 0.674
29 Sb 0.582 0.750 0.956
30 Sb 0.918 0.250 0.456
31 Sb 0.924 0.508 0.174
32 Sb 0.924 0.992 0.174

Compound: Sm3HfSb5
Source: the Materials Project database
Functional: r²SCAN
Structure: relaxed

a = 9.510 Å, b = 9.510 Å, c = 6.189 Å
α = 90.00°, β = 90.00°, γ = 120.00°
Fractional coordinates of all 18 atoms:
1 Sm 0.000 0.381 0.250
2 Sm 0.000 0.619 0.750
3 Sm 0.381 0.000 0.250
4 Sm 0.381 0.381 0.750
5 Sm 0.619 0.000 0.750
6 Sm 0.619 0.619 0.250
7 Hf 0.000 0.000 0.000
8 Hf 0.000 0.000 0.500
9 Sb 0.000 0.263 0.750
10 Sb 0.000 0.737 0.250
11 Sb 0.263 0.000 0.750
12 Sb 0.263 0.263 0.250
13 Sb 0.333 0.667 0.000
14 Sb 0.333 0.667 0.500
15 Sb 0.667 0.333 0.000
16 Sb 0.667 0.333 0.500
17 Sb 0.737 0.000 0.250
18 Sb 0.737 0.737 0.750

Calculated calculated formation energy in order - -37 -44 -50 -101 kJ/mol of atoms